Entry 1:
{
  "formula": "Ba2AgTe2F",
  "functional": "PBE",
  "state": "optimized geometry",
  "formation_energy_mev_per_atom": -784,
  "magmom_total_mub_per_fu": 0.6,
  "energy_ev_per_atom": -3.186,
  "vol_a3_per_atom": 41.92,
  "space_group": "P4/mmm (123)",
  "cell": [[3.880, 0.000, 0.000], [0.000, 3.880, 0.000], [0.000, 0.000, 16.707]],
  "species": ["Ba", "Ba", "Ag", "Te", "Te", "F"],
  "frac_coords": [[0.000, 0.000, 0.147], [0.000, 0.000, 0.853], [0.000, 0.000, 0.500], [0.000, 0.000, 0.342], [0.000, 0.000, 0.658], [0.000, 0.000, 0.000]]
}

***

Entry 2:
{
  "formula": "BaZnAgF7",
  "functional": "PBE",
  "state": "optimized geometry",
  "formation_energy_mev_per_atom": -2561,
  "magmom_total_mub_per_fu": 2.0,
  "energy_ev_per_atom": -4.179,
  "vol_a3_per_atom": 14.64,
  "space_group": "P2_1/c (14)",
  "cell": [[5.783, 0.000, 0.000], [0.000, 10.265, 0.000], [-0.508, 0.000, 9.864]],
  "species": ["Ba", "Ba", "Ba", "Ba", "Zn", "Zn", "Zn", "Zn", "Ag", "Ag", "Ag", "Ag", "F", "F", "F", "F", "F", "F", "F", "F", "F", "F", "F", "F", "F", "F", "F", "F", "F", "F", "F", "F", "F", "F", "F", "F", "F", "F", "F", "F"],
  "frac_coords": [[0.234, 0.178, 0.002], [0.234, 0.322, 0.502], [0.766, 0.678, 0.498], [0.766, 0.822, 0.998], [0.197, 0.603, 0.807], [0.197, 0.897, 0.307], [0.803, 0.103, 0.693], [0.803, 0.397, 0.193], [0.304, 0.610, 0.187], [0.304, 0.890, 0.687], [0.696, 0.110, 0.313], [0.696, 0.390, 0.813], [0.007, 0.716, 0.250], [0.007, 0.784, 0.750], [0.109, 0.541, 0.626], [0.109, 0.959, 0.126], [0.127, 0.062, 0.625], [0.127, 0.438, 0.125], [0.238, 0.698, 0.991], [0.238, 0.802, 0.491], [0.369, 0.055, 0.381], [0.369, 0.445, 0.881], [0.398, 0.538, 0.380], [0.398, 0.962, 0.880], [0.484, 0.714, 0.751], [0.484, 0.786, 0.251], [0.516, 0.214, 0.749], [0.516, 0.286, 0.249], [0.602, 0.038, 0.120], [0.602, 0.462, 0.620], [0.631, 0.555, 0.119], [0.631, 0.945, 0.619], [0.762, 0.198, 0.509], [0.762, 0.302, 0.009], [0.873, 0.562, 0.875], [0.873, 0.938, 0.375], [0.891, 0.041, 0.874], [0.891, 0.459, 0.374], [0.993, 0.216, 0.250], [0.993, 0.284, 0.750]]
}

***

Entry 3:
{
  "formula": "Ba2Ga7Ag",
  "functional": "PBE",
  "state": "optimized geometry",
  "formation_energy_mev_per_atom": -410,
  "energy_ev_per_atom": -3.197,
  "vol_a3_per_atom": 23.48,
  "space_group": "P-4m2 (115)",
  "cell": [[4.620, 0.000, 0.000], [0.000, 4.620, 0.000], [0.000, 0.000, 11.000]],
  "species": ["Ba", "Ba", "Ga", "Ga", "Ga", "Ga", "Ga", "Ga", "Ga", "Ag"],
  "frac_coords": [[0.000, 0.500, 0.248], [0.500, 0.000, 0.752], [0.000, 0.000, 0.000], [0.000, 0.500, 0.627], [0.000, 0.500, 0.870], [0.500, 0.000, 0.130], [0.500, 0.000, 0.373], [0.500, 0.500, 0.000], [0.500, 0.500, 0.500], [0.000, 0.000, 0.500]]
}